(1)
20
Lattice="7.8169 0.0000 0.0000 0.0000 6.3659 0.0000 0.0000 0.0000 6.4764" Properties=species:S:1:pos:R:3 comment="SrZnSe2O6 (PBE, relaxed)" e_above_lowest_polymorph_mev_per_atom=181.3 magmom_total_mub_per_cell=0.000 pbc="T T T"
Sr 0.0000 1.4821 0.0000
Sr 0.0000 4.8838 3.2382
Zn 3.9084 2.1774 0.5686
Zn 3.9084 4.1884 3.8068
Se 1.9007 1.7891 2.6370
Se 1.9007 4.5768 5.8752
Se 5.9162 1.7891 2.6370
Se 5.9162 4.5768 5.8752
O 0.0000 0.9482 2.5701
O 0.0000 5.4176 5.8083
O 1.4082 3.0928 5.2321
O 1.4082 3.2731 1.9939
O 2.3469 0.9892 1.1404
O 2.3469 5.3766 4.3786
O 3.9084 2.6508 2.6623
O 3.9084 3.7151 5.9005
O 5.4699 0.9892 1.1404
O 5.4699 5.3766 4.3786
O 6.4087 3.0928 5.2321
O 6.4087 3.2731 1.9939

---

(2)
40
Lattice="4.5802 0.0000 0.0000 0.0000 15.1729 0.0000 -3.6904 0.0000 9.4929" Properties=species:S:1:pos:R:3 comment="SrZnSe2O6 (PBE, relaxed)" e_above_lowest_polymorph_mev_per_atom=0.0 magmom_total_mub_per_cell=0.000 pbc="T T T"
Sr -0.7216 1.7701 4.3594
Sr -2.5668 5.8163 9.1058
Sr 3.4566 9.3566 0.3871
Sr 1.6114 13.4028 5.1336
Zn -2.8322 2.2960 7.3792
Zn -0.9870 5.2905 2.6327
Zn 1.8768 9.8824 6.8602
Zn 3.7220 12.8769 2.1137
Se -0.9684 10.5853 4.1436
Se -2.8136 12.1740 8.8900
Se -0.4913 7.6654 6.8400
Se 1.3539 15.0940 2.0936
Se -0.4640 0.0789 7.3994
Se 1.3812 7.5075 2.6529
Se 3.7035 2.9989 0.6029
Se 1.8583 4.5876 5.3493
O -3.1193 3.1792 9.1273
O -1.2741 4.4072 4.3809
O -2.2093 7.8870 6.8395
O -0.3641 14.8723 2.0930
O -0.2562 2.8453 2.1722
O -2.1014 4.7411 6.9187
O -2.3813 10.4683 8.7917
O -0.5361 12.2910 4.0452
O 1.1344 8.1072 1.0492
O -0.7108 14.6521 5.7957
O -0.8666 1.7684 7.1814
O 0.9786 5.8180 2.4350
O -0.0888 9.3549 7.0580
O 1.7564 13.4045 2.3115
O 1.6007 0.5208 3.6972
O -0.2446 7.0657 8.4437
O 1.4259 2.8819 5.4477
O 3.2712 4.7046 0.7013
O 2.9912 10.4318 2.5743
O 1.1460 12.3276 7.3207
O 1.2539 0.3006 7.3999
O 3.0991 7.2859 2.6534
O 2.1639 10.7657 5.1120
O 4.0091 11.9937 0.3656

---

(3)
50
Lattice="6.2801 -3.5029 0.0000 6.2801 3.5029 0.0000 -3.3780 0.0000 19.4580" Properties=species:S:1:pos:R:3 comment="Tb2Se3O20 (PBE, relaxed)" magmom_total_mub_per_cell=32.000 pbc="T T T"
Tb 0.6895 0.1230 7.6467
Tb -0.9995 -0.1230 17.3757
Tb 10.1818 0.1230 2.0823
Tb 8.4928 -0.1230 11.8113
Se 2.2902 0.1978 1.6344
Se 0.6012 -0.1978 11.3634
Se 3.7466 1.4946 14.5935
Se 5.4356 -1.4946 4.8645
Se 8.5811 0.1978 8.0946
Se 6.8921 -0.1978 17.8237
O 2.5794 2.4585 13.8965
O 0.9600 0.2503 2.6896
O 1.8118 0.4665 0.0639
O 1.3489 1.2877 11.4344
O 3.3607 1.3474 2.1971
O -0.7290 -0.2503 12.4186
O 5.7952 2.1829 2.6865
O 5.0761 2.1829 7.0425
O 4.1715 1.9703 11.3105
O 0.1228 -0.4665 9.7929
O 3.3218 1.9703 17.8766
O 4.9138 2.4585 15.2905
O 1.0811 0.2533 15.9481
O 2.9413 0.2003 8.3096
O 2.7701 -0.2533 6.2191
O 1.2523 -0.2003 18.0386
O 3.1197 0.4934 15.8320
O 3.0379 -1.2877 1.7054
O 4.3735 0.4934 13.3550
O 1.6717 -1.3474 11.9261
O 7.5106 1.3474 7.5319
O 4.8087 -0.4934 6.1030
O 6.1444 1.2877 17.7527
O 6.0625 -0.4934 3.6260
O 7.9300 0.2003 1.4195
O 6.4122 0.2533 13.2390
O 6.2410 -0.2003 11.1485
O 8.1012 -0.2533 3.5099
O 4.2685 -2.4585 4.1675
O 5.8605 -1.9703 1.5815
O 9.0595 0.4665 9.6652
O 5.0108 -1.9703 8.1475
O 4.1062 -2.1829 12.4155
O 3.3871 -2.1829 16.7715
O 9.9113 0.2503 7.0394
O 5.8216 -1.3474 17.2609
O 7.8334 -1.2877 8.0236
O 7.3705 -0.4665 19.3942
O 8.2223 -0.2503 16.7684
O 6.6028 -2.4585 5.5615

---

(4)
A plane-wave DFT calculation with PBE was carried out for crystalline Te3SeO8 at its relaxed geometry.

The structure in extended XYZ format:
```
24
Lattice="5.0260 0.0000 0.0000 2.4680 6.5664 0.0000 2.3331 1.8274 11.4330" Properties=species:S:1:pos:R:3 pbc="T T T"
Te 1.6879 2.4547 4.8985
Te 3.7642 2.1783 7.9620
Te 3.7306 3.8685 2.2190
Te 6.0965 4.5253 9.2141
Te 6.0628 6.2155 3.4710
Te 8.1392 5.9391 6.5345
Se 1.4181 1.3217 1.0906
Se 8.4090 7.0721 10.3424
O 2.6486 3.4235 9.1800
O 4.1804 6.5158 8.9238
O 2.7972 3.0391 6.3701
O 4.6406 7.1575 4.9735
O 2.6774 2.5064 0.8262
O 3.2451 2.6636 3.6679
O 4.7990 6.4903 1.6419
O 4.8157 4.7804 3.7525
O 5.0114 3.6134 7.6805
O 5.0280 1.9034 9.7911
O 6.5820 5.7302 7.7651
O 7.1497 5.8874 10.6069
O 5.1865 1.2363 6.4596
O 7.0298 5.3547 5.0629
O 5.6466 1.8780 2.5092
O 7.1785 4.9703 2.2530
```

---

Number 1: energy -5.29 eV per atom, formation energy -1.744 eV/atom. Number 2: energy -5.48 eV per atom, formation energy -1.925 eV/atom. Number 3: energy -4.98 eV per atom, formation energy -0.777 eV/atom. Number 4: energy -5.33 eV per atom, formation energy -1.412 eV/atom.